(1)
Material: CeSiPd2
Method: DFT, GGA-PBE
State: optimized geometry

Unit cell a=5.6216 b=6.8763 c=7.6989 alpha=90.00 beta=90.00 gamma=90.00
Positions (direct):
Pd: 0.0937 0.4500 0.1755
Ce: 0.1465 0.7500 0.4666
Pd: 0.9063 0.5500 0.8245
Pd: 0.4063 0.0500 0.6755
Ce: 0.8535 0.2500 0.5334
Pd: 0.0937 0.0500 0.1755
Pd: 0.9063 0.9500 0.8245
Si: 0.3462 0.2500 0.3779
Ce: 0.3535 0.7500 0.9666
Pd: 0.5937 0.5500 0.3245
Si: 0.6538 0.7500 0.6221
Si: 0.8462 0.7500 0.1221
Ce: 0.6465 0.2500 0.0334
Pd: 0.4063 0.4500 0.6755
Si: 0.1538 0.2500 0.8779
Pd: 0.5937 0.9500 0.3245



(2)
Material: Ce2Si5Pd3
Method: DFT, GGA-PBE
State: optimized geometry

Unit cell a=8.3093 b=8.3093 c=8.3093 alpha=137.43 beta=106.30 gamma=89.02
Positions (direct):
Si: 0.2361 0.3855 0.8506
Si: 0.7639 0.6145 0.1494
Si: 0.0000 0.2500 0.2500
Si: 0.0000 0.7500 0.7500
Si: 0.7260 0.9760 0.2500
Pd: 0.5000 0.2500 0.7500
Pd: 0.5000 0.7500 0.2500
Pd: 0.0285 0.6379 0.3906
Ce: 0.6385 0.3722 0.2663
Ce: 0.3615 0.6278 0.7337
Si: 0.2740 0.5240 0.2500
Pd: 0.2473 0.1379 0.1094
Si: 0.4651 0.1145 0.3506
Pd: 0.9715 0.3621 0.6094
Si: 0.2740 0.0240 0.7500
Pd: 0.7527 0.8621 0.8906
Ce: 0.1059 0.8722 0.2337
Si: 0.5349 0.8855 0.6494
Si: 0.7260 0.4760 0.7500
Ce: 0.8941 0.1278 0.7663



(3)
Material: Ce3Si6Pd20
Method: DFT, GGA-PBE
State: optimized geometry

Unit cell a=8.1050 b=5.5217 c=12.2758 alpha=81.58 beta=66.53 gamma=80.91
Positions (direct):
Pd: 0.6460 0.9509 0.1722
Pd: 0.2691 0.2536 0.5417
Si: 0.2031 0.9038 0.2244
Pd: 0.0170 0.5929 0.2150
Pd: 0.4106 0.8275 0.4036
Pd: 0.0973 0.1533 0.3869
Si: 0.3011 0.4394 0.7004
Si: 0.6989 0.5605 0.2995
Pd: 0.9020 0.8470 0.6134
Pd: 0.6961 0.8053 0.9394
Pd: 0.0997 0.8794 0.7509
Ce: 0.0000 0.9999 0.9999
Pd: 0.7309 0.7461 0.4582
Si: 0.5948 0.1491 0.4003
Pd: 0.8214 0.4850 0.0864
Pd: 0.8846 0.3565 0.5930
Si: 0.7970 0.0963 0.7758
Pd: 0.3452 0.7007 0.0369
Pd: 0.1789 0.5151 0.9135
Si: 0.4054 0.8507 0.5995
Pd: 0.9005 0.1205 0.2489
Pd: 0.3038 0.1949 0.0607
Pd: 0.3543 0.0491 0.8277
Pd: 0.9831 0.4070 0.7852
Pd: 0.6548 0.2996 0.9632
Ce: 0.4093 0.3858 0.2348
Pd: 0.1152 0.6437 0.4073
Ce: 0.5904 0.6140 0.7652
Pd: 0.5894 0.1726 0.5962



One value per record, in order, for calculated formation energy: -0.86, -0.81, -0.52 eV/atom.
One value per record, in order, for electronic total energy: -6.289, -6.266, -5.830 eV per atom.